Record 1
Dy2S3, optimized geometry, DFT PBE; total DFT energy (no corrections) = -6.393 eV/atom; calculated formation energy = -2.3701 eV per atom
1.0
10.6531 0.0000 0.0000
0.0000 3.8738 0.0000
0.0000 0.0000 10.4750
Dy S
8 12
Cartesian
0.1065 0.9685 1.9559
2.0459 0.9685 5.2763
3.2807 2.9054 0.0388
5.2201 2.9054 7.1934
5.4330 0.9685 3.2816
7.3724 0.9685 10.4362
8.6072 2.9054 5.1987
10.5466 2.9054 8.5191
0.4877 2.9054 3.9104
1.2725 0.9685 9.8936
2.4261 2.9054 7.2896
2.9004 0.9685 2.0521
4.0541 2.9054 4.6561
4.8389 0.9685 9.1479
5.8142 2.9054 1.3271
6.5990 0.9685 5.8189
7.7527 2.9054 8.4229
8.2270 0.9685 3.1854
9.3806 2.9054 0.5814
10.1654 0.9685 6.5646



Record 2
Dy11S16, optimized geometry, DFT PBE; total DFT energy (no corrections) = -6.364 eV/atom; magnetization = 0.00 μB per atom; calculated formation energy = -2.3344 eV per atom
1.0
8.3380 0.0000 0.0000
0.0000 16.7231 0.0000
0.0000 0.0000 8.2834
Dy S
22 32
Cartesian
0.0000 0.0000 1.0663
0.0390 12.5446 3.1419
1.0360 10.4102 6.3534
1.1690 2.0075 6.2723
2.0355 7.3319 3.9823
2.0870 5.3421 0.0008
2.0820 13.7037 8.2825
2.1335 15.6935 4.3010
3.0000 10.3690 2.0111
3.1330 2.0486 1.9300
4.1300 4.1830 5.1414
4.1690 8.3616 7.2170
4.2080 12.5401 5.1414
5.2049 14.6745 1.9300
5.3380 6.3541 2.0111
6.2045 1.0297 4.3010
6.2559 3.0195 8.2825
6.2510 11.3810 0.0008
6.3024 9.3912 3.9823
7.1690 14.7157 6.2723
7.3020 6.3129 6.3534
8.2990 4.1785 3.1419
0.5116 1.5127 3.6361
0.5965 11.1723 0.6540
0.6129 2.6400 0.6245
0.6373 9.9128 3.6763
1.4500 4.7268 5.6603
1.4477 16.0745 6.9016
1.5394 7.7399 6.6475
1.5449 13.0936 5.6350
2.6240 4.7320 2.6484
2.6296 16.1015 1.6359
2.7213 7.7129 1.3818
2.7189 13.0884 2.6230
3.5316 1.5512 4.6070
3.5561 11.0015 7.6589
3.5725 2.8107 7.6294
3.6574 9.8743 4.6473
4.6806 6.8489 4.6473
4.7655 13.9124 7.6294
4.7819 5.7216 7.6589
4.8063 15.1719 4.6070
5.6190 3.6348 2.6230
5.6167 9.0102 1.3818
5.7084 0.6216 1.6359
5.7139 11.9911 2.6484
6.7930 3.6296 5.6350
6.7986 8.9832 6.6475
6.8903 0.6486 6.9016
6.8879 11.9963 5.6603
7.7006 6.8103 3.6763
7.7250 14.0832 0.6245
7.7414 5.5508 0.6540
7.8264 15.2104 3.6361



Record 3
Dy2S3, optimized geometry, DFT PBE; total DFT energy (no corrections) = -6.368 eV/atom; calculated formation energy = -2.3452 eV per atom
1.0
-4.1618 4.1618 12.4501
4.1618 -4.1618 12.4501
4.1618 4.1618 -12.4501
Dy S
16 24
Cartesian
3.0072 2.1611 -5.2586
0.0000 0.0000 4.1197
6.1625 1.1547 0.9664
1.1547 2.1611 -0.9664
2.0809 -0.9887 9.3376
3.1731 2.0809 3.1125
2.0809 5.1505 -3.1125
1.1547 2.0007 7.1915
2.0007 -1.1547 17.7088
0.0000 4.1618 2.1054
3.0072 2.0007 11.4837
0.0000 0.0000 20.7806
2.1611 5.3165 5.2586
0.9887 2.0809 15.5627
-2.0007 3.0072 13.4166
0.0000 4.1618 10.3448
6.8267 0.5533 -1.6376
2.6322 -0.5875 3.5884
4.7493 -1.5296 8.8618
1.4476 -0.6569 6.6548
3.5050 1.4476 0.4297
3.5743 2.6322 -2.6367
5.6915 0.5875 3.5884
0.5533 1.4969 1.6376
2.7143 4.8187 -5.7953
2.7143 -0.6569 12.0204
0.5533 2.6649 4.5875
1.5296 -0.5875 15.0869
3.5743 1.5296 8.8618
3.5050 2.7143 5.7953
1.4476 4.8187 -0.4297
0.5875 1.5296 9.8134
2.6322 4.7493 2.6367
-1.4969 3.6085 7.8627
0.6569 2.7143 12.8799
-0.5533 5.6588 4.5874
-2.6649 3.6085 10.8125
1.4969 4.7152 7.8627
3.6085 2.6649 14.0878
0.6569 1.4476 18.2455



Record 4
DyS, optimized geometry, DFT PBE; total DFT energy (no corrections) = -6.362 eV/atom; calculated formation energy = -2.2415 eV per atom
1.0
0.0000 2.7607 2.7607
2.7607 0.0000 2.7607
2.7607 2.7607 0.0000
Dy S
1 1
Cartesian
0.0000 0.0000 0.0000
2.7607 2.7607 2.7607



Record 5
Dy2SnS5, optimized geometry, DFT PBE; total DFT energy (no corrections) = -5.649 eV/atom; magnetization = 0.00 μB per atom; calculated formation energy = -1.7247 eV per atom
1.0
7.7402 0.0000 0.0000
0.0000 11.3580 0.0000
0.0000 0.0000 3.8208
Dy Sn S
4 2 10
Cartesian
0.2500 1.9561 0.0000
3.6201 7.6351 0.0000
4.1201 3.7229 0.0000
7.4902 9.4019 0.0000
0.0000 5.6790 1.9104
3.8701 0.0000 1.9104
0.0000 0.0000 1.9104
1.3281 4.5692 0.0000
1.3558 7.9059 1.9104
2.5143 2.2269 1.9104
2.5420 10.2482 0.0000
3.8701 5.6790 1.9104
5.1982 1.1098 0.0000
5.2258 9.1311 1.9104
6.3844 3.4521 1.9104
6.4121 6.7888 0.0000



Record 6
SrDy2S4, optimized geometry, DFT PBE; total DFT energy (no corrections) = -6.046 eV/atom; calculated formation energy = -2.4126 eV per atom
1.0
12.0015 0.0000 0.0000
0.0000 4.0023 0.0000
0.0000 0.0000 14.3785
Sr Dy S
4 8 16
Cartesian
2.9165 1.0006 2.3199
3.0843 3.0017 9.5092
8.9172 1.0006 4.8694
9.0851 3.0017 12.0586
0.8448 1.0006 5.6128
0.9546 1.0006 12.9209
5.0461 3.0017 5.7316
5.1559 3.0017 12.8020
6.8456 1.0006 1.5765
6.9554 1.0006 8.6469
11.0469 3.0017 1.4577
11.1567 3.0017 8.7657
0.2472 3.0017 11.2752
1.0048 1.0006 8.3283
1.5785 3.0017 0.3665
2.5041 3.0017 4.6572
3.4967 1.0006 11.8464
4.4222 1.0006 7.5558
4.9959 3.0017 1.1390
5.7535 1.0006 4.0859
6.2480 3.0017 10.2926
7.0056 1.0006 13.2395
7.5793 3.0017 6.8228
8.5049 3.0017 2.5321
9.4974 1.0006 9.7213
10.4230 1.0006 14.0120
10.9967 3.0017 6.0502
11.7543 1.0006 3.1033